# 1
Density functional theory data (PBE) for an optimized crystal structure of CaLa2S4.

Geometry as CIF:
```
data_CaLa2S4
_chemical_formula_sum 'Ca4 La8 S16'
_cell_length_a 8.6793
_cell_length_b 8.6793
_cell_length_c 8.7232
_cell_angle_alpha 90.00
_cell_angle_beta 90.00
_cell_angle_gamma 90.00
_symmetry_space_group_name_H-M 'I -4 2 d'
_symmetry_Int_Tables_number 122
_symmetry_space_group_name_Hall 'I -4 2bw'
loop_
_atom_site_label
_atom_site_fract_x
_atom_site_fract_y
_atom_site_fract_z
Ca1 0.0000 0.0000 0.0000
La1 0.1302 0.2500 0.6250
S1 0.0733 0.1788 0.3028
```

=====

# 2
Density functional theory data (PBE) for an optimized crystal structure of CaLa8Se12.

Output
total moment = 0.00 μB/f.u.
offset from the most stable computed form = 73 meV/atom

Geometry as CIF:
```
data_CaLa8Se12
_chemical_formula_sum 'Ca2 La16 Se24'
_cell_length_a 9.1035
_cell_length_b 9.1035
_cell_length_c 15.0558
_cell_angle_alpha 72.46
_cell_angle_beta 72.46
_cell_angle_gamma 89.99
_symmetry_space_group_name_H-M 'P 1'
_symmetry_Int_Tables_number 1
loop_
_symmetry_equiv_pos_as_xyz
'x,y,z'
loop_
_atom_site_label
_atom_site_fract_x
_atom_site_fract_y
_atom_site_fract_z
Ca1 0.0000 0.0000 0.0000
Ca2 0.1292 0.8708 0.5000
La1 0.1261 0.7424 0.2525
La2 0.1667 0.4063 0.6679
La3 0.2024 0.7061 0.8350
La4 0.2105 0.3240 0.0820
La5 0.3288 0.3280 0.3337
La6 0.4573 0.1996 0.8337
La7 0.4608 0.0733 0.5848
La8 0.4961 0.7466 0.9997
La9 0.5356 0.0375 0.1679
La10 0.5407 0.6607 0.4169
La11 0.6696 0.6576 0.6673
La12 0.7868 0.5404 0.1673
La13 0.7900 0.4114 0.9169
La14 0.8353 0.0731 0.3350
La15 0.8758 0.3669 0.4997
La16 0.8787 0.9902 0.7491
Se1 0.0295 0.4074 0.2830
Se2 0.1312 0.3588 0.8842
Se3 0.1474 0.6742 0.0504
Se4 0.1530 0.1661 0.5511
Se5 0.1796 0.0547 0.2862
Se6 0.1839 0.0504 0.7862
Se7 0.1986 0.5702 0.4521
Se8 0.2953 0.0237 0.0511
Se9 0.3695 0.7320 0.6184
Se10 0.4604 0.6885 0.2175
Se11 0.4796 0.5021 0.8848
Se12 0.4880 0.0019 0.3842
Se13 0.5130 0.3885 0.1160
Se14 0.5177 0.3838 0.6160
Se15 0.5366 0.9002 0.7830
Se16 0.6313 0.3504 0.3849
Se17 0.6994 0.0693 0.9521
Se18 0.8034 0.0182 0.5504
Se19 0.8134 0.8427 0.2152
Se20 0.8177 0.3312 0.7175
Se21 0.8451 0.7181 0.9521
Se22 0.8474 0.7158 0.4521
Se23 0.8613 0.2403 0.1184
Se24 0.9719 0.6842 0.7152
```

=====

| no. | total energy after the MP2020 corrections (eV per atom) | uncorrected energy (eV per atom) | energy of formation (meV/atom) |
| --- | --- | --- | --- |
| 1 | -6.52 | -6.228 | -2455 |
| 2 | -6.26 | -5.986 | -2282 |